(1)
VASP calculation (PBE) on a relaxed Ba2Tl2Zn2Cu3O10 crystal.

a b c (Å): 3.756 3.777 19.003
angles (deg): 95.67 94.84 90.03
Space group P1 (No. 1)
Inequivalent atoms, fractional coordinates:
Ba: 0.000 0.000 0.000 [1 per cell]
Ba: 0.340 0.297 0.560 [1 per cell]
Tl: 0.446 0.458 0.844 [1 per cell]
Tl: 0.898 0.897 0.716 [1 per cell]
Zn: 0.108 0.112 0.194 [1 per cell]
Zn: 0.247 0.231 0.366 [1 per cell]
Cu: 0.554 0.569 0.122 [1 per cell]
Cu: 0.659 0.689 0.280 [1 per cell]
Cu: 0.786 0.747 0.438 [1 per cell]
O: 0.062 0.584 0.142 [1 per cell]
O: 0.172 0.711 0.308 [1 per cell]
O: 0.296 0.748 0.459 [1 per cell]
O: 0.404 0.296 0.730 [1 per cell]
O: 0.486 0.472 0.956 [1 per cell]
O: 0.537 0.058 0.102 [1 per cell]
O: 0.632 0.176 0.254 [1 per cell]
O: 0.773 0.237 0.420 [1 per cell]
O: 0.858 0.809 0.604 [1 per cell]
O: 0.942 0.843 0.830 [1 per cell]

Results
* energy of formation from the pure elements: -1.495 eV per atom

---

(2)
VASP calculation (PBE) on a relaxed Rb2Mn3S4 crystal.

a b c (Å): 6.083 11.428 13.750
angles (deg): 90.00 90.00 90.00
Space group Ibam (No. 72)
Inequivalent atoms, fractional coordinates:
Rb: 0.237 0.121 0.000 [8 per cell]
Mn: 0.000 0.224 0.250 [8 per cell]
Mn: 0.000 0.500 0.250 [4 per cell]
S: 0.218 0.366 0.151 [16 per cell]

Results
* energy of formation from the pure elements: -1.006 eV per atom

---

(3)
VASP calculation (PBE) on a relaxed LiPa crystal.

a b c (Å): 3.0380 3.0380 5.6751
angles (deg): 90.00 90.00 120.00
Space group P-6m2 (No. 187)
Inequivalent atoms, fractional coordinates:
Li: 0.0000 0.0000 0.0000 [1 per cell]
Pa: 0.6667 0.3333 0.5000 [1 per cell]

Results
* energy of formation from the pure elements: 0.279 eV per atom

---

(4)
VASP calculation (PBE) on a relaxed Fe4Mo crystal.

a b c (Å): 2.607 2.607 18.428
angles (deg): 90.00 90.00 90.00
Space group I4/mmm (No. 139)
Inequivalent atoms, fractional coordinates:
Fe: 0.000 0.000 0.112 [4 per cell]
Fe: 0.000 0.000 0.294 [4 per cell]
Mo: 0.000 0.000 0.500 [2 per cell]

Results
* energy of formation from the pure elements: 0.180 eV per atom

---

Question: Which value of energy of formation from the pure elements does entry 2 give?
Answer: -1.006 eV per atom

---

Question: The highest energy of formation from the pure elements belongs to which entry?
Answer: LiPa

---

What did the second record say?
VASP calculation (PBE) on a relaxed Rb2Mn3S4 crystal.

a b c (Å): 6.083 11.428 13.750
angles (deg): 90.00 90.00 90.00
Space group Ibam (No. 72)
Inequivalent atoms, fractional coordinates:
Rb: 0.237 0.121 0.000 [8 per cell]
Mn: 0.000 0.224 0.250 [8 per cell]
Mn: 0.000 0.500 0.250 [4 per cell]
S: 0.218 0.366 0.151 [16 per cell]

Results
* energy of formation from the pure elements: -1.006 eV per atom

---

Question: What is the energy of formation from the pure elements in the first record?
Answer: -1.495 eV per atom